No. 1
ZnSnO2: relaxed, PBE-GGA.

Values from the calculation:
Excess energy over the best structure of this formula in the dataset in meV per atom: 0
E (MP2020) in eV/cell: -86.42
Formation energy from the elements in meV per atom: -1610

a = 3.3742 Å, b = 8.3819 Å, c = 9.2732 Å
α = 87.63°, β = 80.85°, γ = 85.09°
Last column: nearest neighbours and their distance in Å.
Space group P-1 (No. 2)
Inequivalent atoms, fractional coordinates:
Zn1 0.1153 0.0282 0.2892  4 O 2.01-2.04
Zn2 0.2923 0.2382 0.9070  4 O 1.98-2.06
Sn1 0.3513 0.2873 0.5497  3 O 2.13-2.23
Sn2 0.3585 0.6270 0.8356  3 O 2.14-2.29
O1 0.0819 0.8345 0.5378  1 Zn 2.01, 2 Sn 2.13-2.14
O2 0.2088 0.1999 0.1301  2 Zn 2.03-2.06, 1 Sn 2.21
O3 0.2428 0.6332 0.0687  2 Zn 2.01-2.02, 1 Sn 2.14
O4 0.3489 0.1053 0.7328  3 Zn 1.98-2.04



No. 2
ZnSnO3: relaxed, PBE-GGA.

Values from the calculation:
E (MP2020) in eV/cell: -118.41
Formation energy from the elements in meV per atom: -1898

a = 5.4077 Å, b = 7.9402 Å, c = 5.3805 Å
α = 90.00°, β = 90.00°, γ = 90.00°
Last column: nearest neighbours and their distance in Å.
Space group Pnma (No. 62)
Inequivalent atoms, fractional coordinates:
Zn1 0.0300 0.2500 0.0058  4 O 2.03-2.13
Sn1 0.0000 0.0000 0.5000  6 O 2.06-2.16
O1 0.0950 0.7500 0.6284  2 Zn 2.08-2.13, 2 Sn 2.16
O2 0.1746 0.5714 0.1701  1 Zn 2.03, 2 Sn 2.06-2.09



No. 3
ZnSnO3: relaxed, PBE-GGA.

Values from the calculation:
E (MP2020) in eV/cell: -26.45
Formation energy from the elements in meV per atom: -1268

a = 4.0289 Å, b = 4.0289 Å, c = 4.0289 Å
α = 90.00°, β = 90.00°, γ = 90.00°
Last column: nearest neighbours and their distance in Å.
Space group Pm-3m (No. 221)
Inequivalent atoms, fractional coordinates:
Zn1 0.0000 0.0000 0.0000  12 O 2.85
Sn1 0.5000 0.5000 0.5000  6 O 2.01
O1 0.0000 0.5000 0.5000  2 Sn 2.01



No. 4
ZnSnO3: relaxed, PBE-GGA.

Values from the calculation:
E (MP2020) in eV/cell: -178.46
Formation energy from the elements in meV per atom: -1926

a = 5.3790 Å, b = 5.3790 Å, c = 14.2947 Å
α = 90.00°, β = 90.00°, γ = 120.00°
Last column: nearest neighbours and their distance in Å.
Space group R-3 (No. 148, hexagonal axes)
Inequivalent atoms, fractional coordinates:
Zn1 0.0000 0.0000 0.1345  3 O 2.06
Sn1 0.0000 0.0000 0.3500  6 O 2.07-2.15
O1 0.0080 0.3061 0.2519  1 Zn 2.06, 2 Sn 2.07-2.15



No. 5
Zn2Sn3O8: relaxed, PBE-GGA.

Values from the calculation:
Excess energy over the best structure of this formula in the dataset in meV per atom: 17
E (MP2020) in eV/cell: -158.36
Formation energy from the elements in meV per atom: -1927

a = 10.1179 Å, b = 6.2170 Å, c = 5.4610 Å
α = 90.00°, β = 100.84°, γ = 90.00°
Last column: nearest neighbours and their distance in Å.
Space group C2/m (No. 12)
Inequivalent atoms, fractional coordinates:
Zn1 0.2023 0.0000 0.0835  5 O 2.00-2.24
Sn1 0.0000 0.2428 0.5000  6 O 2.06-2.15
Sn2 0.0000 0.5000 0.0000  6 O 2.07-2.12
O1 0.1040 0.5000 0.3656  3 Sn 2.07-2.12
O2 0.1096 0.0000 0.3772  1 Zn 2.00, 2 Sn 2.06
O3 0.1240 0.2709 0.8652  2 Sn 2.12-2.15, 2 Zn 2.13-2.24



No. 6
ZnSnO2: relaxed, PBE-GGA.

Values from the calculation:
Excess energy over the best structure of this formula in the dataset in meV per atom: 49
E (MP2020) in eV/cell: -85.63
Formation energy from the elements in meV per atom: -1560

a = 3.3373 Å, b = 8.4345 Å, c = 9.9269 Å
α = 80.30°, β = 87.98°, γ = 81.28°
Last column: nearest neighbours and their distance in Å.
Space group P1 (No. 1)
Inequivalent atoms, fractional coordinates:
Zn1 0.0000 0.0000 0.0000  3 O 1.96-2.11
Zn2 0.0184 0.6909 0.8448  4 O 1.99-2.04
Zn3 0.5251 0.9356 0.3149  4 O 1.96-2.08
Zn4 0.5775 0.6965 0.1326  4 O 1.93-2.12
Sn1 0.1856 0.5733 0.4749  3 O 2.12-2.28
Sn2 0.3384 0.0783 0.6972  3 O 2.16-2.29
Sn3 0.5554 0.3676 0.9379  3 O 2.10-2.33
Sn4 0.9111 0.2738 0.2772  3 O 2.12-2.21
O1 0.1049 0.6466 0.0508  3 Zn 1.93-2.04
O2 0.1331 0.2232 0.8534  3 Sn 2.16-2.33, 1 Zn 2.27
O3 0.3575 0.3576 0.3902  3 Sn 2.12-2.21
O4 0.5057 0.9544 0.1035  4 Zn 1.96-2.12
O5 0.5671 0.5824 0.7961  2 Zn 1.99-2.00, 1 Sn 2.10
O6 0.6341 0.6855 0.3434  2 Zn 2.06-2.09, 2 Sn 2.17-2.28
O7 0.9035 0.9362 0.8085  2 Zn 2.02-2.11, 1 Sn 2.18
O8 0.9823 0.0278 0.3736  2 Zn 1.96-1.97, 1 Sn 2.12